# 1
Compound: Ba2CaMgAl2F14
Source: the Materials Project
Functional: PBE
Structure: relaxed

CIF file:
```
data_Ba2CaMgAl2F14
_cell_length_a 7.388
_cell_length_b 7.388
_cell_length_c 14.817
_cell_angle_alpha 88.20
_cell_angle_beta 88.20
_cell_angle_gamma 41.91
_symmetry_space_group_name_H-M 'P 1'
_symmetry_Int_Tables_number 1
_symmetry_space_group_name_Hall 'P 1'
loop_
_atom_site_label
_atom_site_fract_x
_atom_site_fract_y
_atom_site_fract_z
F1 0.056 0.931 0.659
F2 0.358 0.961 0.715
F3 0.283 0.197 0.079
F4 0.890 0.267 0.524
F5 0.039 0.642 0.785
F6 0.267 0.890 0.024
F7 0.512 0.619 0.381
F8 0.400 0.826 0.551
F9 0.381 0.488 0.119
F10 0.717 0.803 0.921
F11 0.944 0.069 0.341
F12 0.197 0.283 0.579
F13 0.619 0.512 0.881
F14 0.803 0.717 0.421
F15 0.733 0.110 0.976
F16 0.600 0.174 0.449
F17 0.847 0.406 0.694
F18 0.961 0.358 0.215
F19 0.153 0.594 0.306
F20 0.642 0.039 0.285
F21 0.488 0.381 0.619
F22 0.594 0.153 0.806
F23 0.406 0.847 0.194
F24 0.069 0.944 0.841
F25 0.931 0.056 0.159
F26 0.174 0.600 0.949
F27 0.110 0.733 0.476
F28 0.826 0.400 0.051
Ca1 0.439 0.561 0.750
Ca2 0.561 0.439 0.250
Al1 0.111 0.121 0.622
Al2 0.121 0.111 0.122
Al3 0.879 0.889 0.878
Al4 0.889 0.879 0.378
Ba1 0.151 0.232 0.882
Ba2 0.232 0.151 0.382
Ba3 0.768 0.849 0.618
Ba4 0.849 0.768 0.118
Mg1 0.500 0.500 0.000
Mg2 0.500 0.500 0.500
```

Results
Size of the total moment in μB/cell: 0.0
Symmetry: C2/c
MP2020-corrected energy in eV/f.u.: -122.6

---

# 2
Compound: Na10La4Y4Si5S7O48
Source: the Materials Project
Functional: PBE
Structure: relaxed

CIF file:
```
data_Na10La4Y4Si5S7O48
_cell_length_a 19.036
_cell_length_b 9.519
_cell_length_c 24.212
_cell_angle_alpha 90.03
_cell_angle_beta 89.58
_cell_angle_gamma 120.04
_symmetry_space_group_name_H-M 'P 1'
_symmetry_Int_Tables_number 1
_symmetry_space_group_name_Hall 'P 1'
loop_
_atom_site_label
_atom_site_fract_x
_atom_site_fract_y
_atom_site_fract_z
S1 0.495 0.683 0.749
S2 0.813 0.663 0.918
S3 0.319 0.661 0.915
S4 0.645 0.992 0.254
S5 0.157 0.000 0.253
S6 0.654 0.309 0.752
S7 0.830 0.019 0.085
S8 0.151 0.294 0.747
S9 0.488 0.641 0.087
S10 0.168 0.980 0.916
S11 0.989 0.642 0.085
S12 0.978 0.329 0.585
S13 0.833 0.628 0.584
S14 0.808 0.963 0.417
S15 0.664 0.971 0.921
S16 0.667 0.365 0.417
S17 0.172 0.362 0.415
S18 0.337 0.035 0.090
S19 0.333 0.631 0.583
S20 0.317 0.973 0.416
S21 0.480 0.336 0.582
Na1 0.837 0.667 0.743
Na2 0.492 0.344 0.761
Na3 0.518 0.328 0.089
Na4 0.516 0.980 0.498
Na5 0.159 0.013 0.430
Na6 0.858 0.381 0.337
Na7 0.676 0.377 0.241
Na8 0.158 0.302 0.931
Na9 0.510 0.017 0.004
Na10 0.661 0.306 0.934
Na11 0.494 0.621 0.263
Na12 0.992 0.623 0.264
Na13 0.988 0.360 0.757
Na14 0.003 0.990 0.502
Na15 0.022 0.716 0.588
Na16 0.184 0.387 0.238
Na17 0.327 0.975 0.598
Na18 0.180 0.648 0.168
Na19 0.023 0.330 0.086
Na20 0.008 0.019 0.000
Na21 0.173 0.690 0.673
Na22 0.337 0.002 0.249
Na23 0.832 0.998 0.251
Na24 0.352 0.326 0.838
Na25 0.678 0.643 0.167
Na26 0.690 0.747 0.661
Na27 0.176 0.987 0.738
Na28 0.363 0.385 0.336
Na29 0.660 0.013 0.432
Na30 0.856 0.323 0.830
O1 0.346 0.133 0.040
O2 0.601 0.219 0.705
O3 0.015 0.183 0.920
O4 0.156 0.456 0.748
O5 0.231 0.135 0.523
O6 0.062 0.660 0.361
O7 0.591 0.011 0.578
O8 0.280 0.678 0.966
O9 0.015 0.843 0.419
O10 0.733 0.131 0.631
O11 0.674 0.850 0.578
O12 0.418 0.319 0.244
O13 0.654 0.845 0.259
O14 0.620 0.214 0.803
O15 0.409 0.780 0.303
O16 0.764 0.671 0.964
O17 0.896 0.800 0.922
O18 0.239 0.149 0.916
O19 0.662 0.455 0.465
O20 0.949 0.553 0.137
O21 0.335 0.542 0.534
O22 0.579 0.693 0.463
O23 0.336 0.516 0.243
O24 0.939 0.548 0.037
O25 0.987 0.786 0.797
O26 0.740 0.345 0.421
O27 0.988 0.183 0.297
O28 0.581 0.166 0.082
O29 0.516 0.226 0.191
O30 0.910 0.791 0.585
O31 0.914 0.512 0.740
O32 0.503 0.782 0.700
O33 0.728 0.135 0.248
O34 0.411 0.020 0.092
O35 0.177 0.455 0.364
O36 0.097 0.201 0.701
O37 0.998 0.805 0.084
O38 0.070 0.460 0.970
O39 0.675 0.456 0.365
O40 0.938 0.344 0.635
O41 0.734 0.141 0.921
O42 0.758 0.857 0.077
O43 0.906 0.010 0.084
O44 0.930 0.319 0.535
O45 0.499 0.804 0.093
O46 0.016 0.241 0.189
O47 0.420 0.520 0.746
O48 0.259 0.647 0.584
O49 0.179 0.854 0.582
O50 0.237 0.128 0.635
O51 0.404 0.797 0.913
O52 0.246 0.343 0.417
O53 0.580 0.480 0.256
O54 0.077 0.666 0.748
O55 0.566 0.654 0.749
O56 0.122 0.032 0.303
O57 0.907 0.770 0.302
O58 0.344 0.181 0.743
O59 0.669 0.897 0.868
O60 0.810 0.122 0.420
O61 0.838 0.131 0.040
O62 0.843 0.538 0.537
O63 0.102 0.964 0.206
O64 0.767 0.883 0.365
O65 0.824 0.505 0.245
O66 0.089 0.003 0.581
O67 0.560 0.455 0.855
O68 0.335 0.544 0.634
O69 0.280 0.878 0.467
O70 0.480 0.179 0.583
O71 0.391 0.997 0.683
O72 0.260 0.686 0.258
O73 0.229 0.328 0.139
O74 0.013 0.805 0.688
O75 0.059 0.482 0.582
O76 0.553 0.653 0.355
O77 0.238 0.146 0.243
O78 0.762 0.825 0.748
O79 0.446 0.535 0.136
O80 0.775 0.666 0.865
O81 0.516 0.849 0.415
O82 0.168 0.449 0.464
O83 0.318 0.503 0.916
O84 0.825 0.542 0.637
O85 0.902 0.980 0.695
O86 0.171 0.902 0.864
O87 0.901 0.029 0.803
O88 0.595 0.199 0.414
O89 0.922 0.331 0.918
O90 0.256 0.858 0.748
O91 0.094 0.995 0.918
O92 0.918 0.328 0.247
O93 0.564 0.472 0.576
O94 0.922 0.505 0.420
O95 0.395 0.822 0.197
O96 0.439 0.564 0.037
O97 0.665 0.877 0.969
O98 0.119 0.206 0.800
O99 0.763 0.859 0.465
O100 0.069 0.652 0.082
O101 0.086 0.172 0.081
O102 0.082 0.493 0.256
O103 0.263 0.873 0.088
O104 0.170 0.887 0.964
O105 0.167 0.492 0.087
O106 0.494 0.767 0.800
O107 0.886 0.809 0.196
O108 0.424 0.336 0.918
O109 0.812 0.506 0.920
O110 0.485 0.172 0.299
O111 0.989 0.187 0.587
O112 0.068 0.680 0.472
O113 0.518 0.191 0.918
O114 0.568 0.650 0.081
O115 0.722 0.323 0.026
O116 0.318 0.132 0.419
O117 0.405 0.798 0.581
O118 0.425 0.513 0.422
O119 0.738 0.340 0.744
O120 0.274 0.662 0.866
O121 0.400 0.002 0.410
O122 0.823 0.086 0.139
O123 0.060 0.451 0.858
O124 0.661 0.489 0.080
O125 0.227 0.334 0.025
O126 0.233 0.314 0.738
O127 0.588 0.982 0.922
O128 0.720 0.338 0.139
O129 0.445 0.357 0.635
O130 0.266 0.884 0.367
O131 0.411 0.039 0.793
O132 0.572 0.471 0.967
O133 0.755 0.689 0.259
O134 0.729 0.130 0.519
O135 0.333 0.123 0.140
O136 0.892 0.994 0.418
O137 0.608 0.017 0.304
O138 0.658 0.469 0.754
O139 0.841 0.162 0.741
O140 0.100 0.197 0.414
O141 0.428 0.330 0.536
O142 0.595 0.971 0.205
O143 0.170 0.860 0.261
O144 0.762 0.649 0.576
La1 0.002 0.004 0.154
La2 0.667 0.684 0.818
La3 0.826 0.337 0.179
La4 0.163 0.663 0.516
La5 0.169 0.658 0.018
La6 0.337 0.335 0.986
La7 0.836 0.334 0.984
La8 0.989 0.989 0.848
La9 0.492 0.007 0.849
La10 0.163 0.667 0.815
La11 0.989 0.987 0.351
La12 0.508 0.001 0.646
Si1 0.179 0.329 0.083
Si2 0.351 0.703 0.250
Si3 0.014 0.354 0.916
Si4 0.516 0.674 0.414
Si5 0.349 0.011 0.741
Si6 0.013 0.667 0.417
Si7 0.673 0.327 0.081
Si8 0.996 0.691 0.743
Si9 0.683 0.032 0.576
Si10 0.000 0.311 0.248
Si11 0.183 0.035 0.579
Si12 0.517 0.365 0.915
Si13 0.849 0.999 0.746
Si14 0.499 0.298 0.249
Si15 0.843 0.693 0.250
Y1 0.330 0.327 0.679
Y2 0.657 0.648 0.321
Y3 0.662 0.654 0.018
Y4 0.491 0.988 0.350
Y5 0.502 0.007 0.154
Y6 0.000 0.995 0.648
Y7 0.823 0.308 0.682
Y8 0.337 0.344 0.481
Y9 0.332 0.345 0.183
Y10 0.162 0.655 0.320
Y11 0.834 0.336 0.483
Y12 0.658 0.672 0.518
```

Results
Size of the total moment in μB/cell: 0.0
Symmetry: P1
MP2020-corrected energy in eV/f.u.: -570.8

---

# 3
Compound: Rb2ZnH4
Source: the Materials Project
Functional: PBE
Structure: relaxed

CIF file:
```
data_Rb2ZnH4
_cell_length_a 6.091
_cell_length_b 8.211
_cell_length_c 10.695
_cell_angle_alpha 90.00
_cell_angle_beta 90.00
_cell_angle_gamma 90.00
_symmetry_space_group_name_H-M 'P 1'
_symmetry_Int_Tables_number 1
_symmetry_space_group_name_Hall 'P 1'
loop_
_atom_site_label
_atom_site_fract_x
_atom_site_fract_y
_atom_site_fract_z
H1 0.750 0.962 0.908
H2 0.250 0.306 0.934
H3 0.250 0.038 0.092
H4 0.750 0.194 0.434
H5 0.474 0.814 0.347
H6 0.026 0.314 0.153
H7 0.526 0.686 0.847
H8 0.474 0.314 0.153
H9 0.750 0.462 0.592
H10 0.250 0.538 0.408
H11 0.750 0.694 0.066
H12 0.974 0.686 0.847
H13 0.250 0.806 0.566
H14 0.026 0.814 0.347
H15 0.974 0.186 0.653
H16 0.526 0.186 0.653
Rb1 0.250 0.161 0.406
Rb2 0.750 0.839 0.594
Rb3 0.750 0.515 0.314
Rb4 0.250 0.985 0.814
Rb5 0.250 0.661 0.094
Rb6 0.750 0.339 0.906
Rb7 0.250 0.485 0.686
Rb8 0.750 0.015 0.186
Zn1 0.750 0.260 0.583
Zn2 0.250 0.740 0.417
Zn3 0.250 0.240 0.083
Zn4 0.750 0.760 0.917
```

Results
Symmetry: Pnma
MP2020-corrected energy in eV/f.u.: -19.1

---

# 4
Compound: Dy5SbPd2
Source: the Materials Project
Functional: PBE
Structure: relaxed

CIF file:
```
data_Dy5SbPd2
_cell_length_a 8.760
_cell_length_b 8.760
_cell_length_c 8.760
_cell_angle_alpha 127.27
_cell_angle_beta 127.27
_cell_angle_gamma 77.82
_symmetry_space_group_name_H-M 'P 1'
_symmetry_Int_Tables_number 1
_symmetry_space_group_name_Hall 'P 1'
loop_
_atom_site_label
_atom_site_fract_x
_atom_site_fract_y
_atom_site_fract_z
Dy1 0.701 0.515 0.500
Dy2 0.985 0.799 0.500
Dy3 0.500 0.500 0.000
Dy4 0.299 0.485 0.500
Dy5 0.485 0.985 0.186
Dy6 0.000 0.000 0.000
Dy7 0.799 0.299 0.814
Dy8 0.515 0.015 0.814
Dy9 0.015 0.201 0.500
Dy10 0.201 0.701 0.186
Pd1 0.137 0.637 0.773
Pd2 0.363 0.137 0.500
Pd3 0.637 0.863 0.500
Pd4 0.863 0.363 0.227
Sb1 0.250 0.250 0.000
Sb2 0.750 0.750 0.000
```

Results
Symmetry: I4/mcm

---

# 5
Compound: USi2Au2
Source: the Materials Project
Functional: PBE
Structure: relaxed

CIF file:
```
data_USi2Au2
_cell_length_a 4.373
_cell_length_b 4.373
_cell_length_c 9.974
_cell_angle_alpha 90.00
_cell_angle_beta 90.00
_cell_angle_gamma 90.00
_symmetry_space_group_name_H-M 'P 1'
_symmetry_Int_Tables_number 1
_symmetry_space_group_name_Hall 'P 1'
loop_
_atom_site_label
_atom_site_fract_x
_atom_site_fract_y
_atom_site_fract_z
Si1 0.000 0.000 0.500
Si2 0.000 0.500 0.865
Si3 0.500 0.000 0.135
Si4 0.500 0.500 0.500
Au1 0.000 0.000 0.000
Au2 0.500 0.500 0.000
Au3 0.000 0.500 0.623
Au4 0.500 0.000 0.377
U1 0.000 0.500 0.257
U2 0.500 0.000 0.743
```

Results
Size of the total moment in μB/cell: 5.3
Symmetry: P4/nmm
Relative energy among the computed polymorphs in eV per atom: 0.057

---

# 6
Compound: Ba3Y4O9
Source: the Materials Project
Functional: PBE
Structure: relaxed

CIF file:
```
data_Ba3Y4O9
_cell_length_a 9.277
_cell_length_b 9.277
_cell_length_c 9.277
_cell_angle_alpha 38.79
_cell_angle_beta 38.79
_cell_angle_gamma 38.79
_symmetry_space_group_name_H-M 'P 1'
_symmetry_Int_Tables_number 1
_symmetry_space_group_name_Hall 'P 1'
loop_
_atom_site_label
_atom_site_fract_x
_atom_site_fract_y
_atom_site_fract_z
O1 0.420 0.962 0.544
O2 0.962 0.544 0.420
O3 0.290 0.878 0.420
O4 0.420 0.290 0.878
O5 0.854 0.983 0.418
O6 0.544 0.420 0.962
O7 0.418 0.854 0.983
O8 0.878 0.420 0.290
O9 0.983 0.418 0.854
Ba1 0.416 0.416 0.416
Ba2 0.835 0.835 0.835
Ba3 0.002 0.002 0.002
Y1 0.575 0.575 0.575
Y2 0.137 0.137 0.137
Y3 0.700 0.700 0.700
Y4 0.262 0.262 0.262
```

Results
Symmetry: R3
Relative energy among the computed polymorphs in eV per atom: 0.000
MP2020-corrected energy in eV/f.u.: -132.8

---

Record order is preserved below.
Energy relative to the elements: -7801 -21072 -220 -595 -86 -5462 kJ/mol of formula units
Record order is preserved below.
Total DFT energy (no corrections): -232.25 -1613.53 -73.41 -87.38 -59.17 -126.58 eV per cell